Record 1
A relaxed ZnPb2F6 crystal, computed with meta-GGA r2SCAN.

Unit cell a=5.648 b=5.648 c=15.904 alpha=90.00 beta=90.00 gamma=90.00
Sites, in units of the cell vectors:
F 0.303 0.803 0.128
Pb 0.241 0.741 0.905
F 0.803 0.697 0.872
Pb 0.241 0.259 0.405
F 0.500 0.500 0.750
F 0.000 0.000 0.250
Pb 0.259 0.241 0.095
Pb 0.741 0.241 0.595
F 0.500 0.500 0.000
F 0.000 0.500 0.008
F 0.500 0.000 0.492
F 0.000 0.500 0.508
F 0.697 0.803 0.628
F 0.000 0.500 0.216
F 0.197 0.303 0.872
F 0.197 0.697 0.372
F 0.803 0.303 0.372
Zn 0.750 0.250 0.250
Pb 0.759 0.259 0.905
F 0.500 0.500 0.250
F 0.000 0.000 0.750
Pb 0.259 0.759 0.595
Zn 0.250 0.750 0.250
F 0.500 0.000 0.992
F 0.697 0.197 0.128
F 0.500 0.000 0.284
Pb 0.759 0.741 0.405
F 0.500 0.000 0.784
F 0.000 0.000 0.000
F 0.000 0.500 0.716
F 0.000 0.000 0.500
Pb 0.741 0.759 0.095
F 0.303 0.197 0.628
Zn 0.750 0.750 0.750
Zn 0.250 0.250 0.750
F 0.500 0.500 0.500

Size of the total moment, μB/f.u.: 0.00
Crystal system: tetragonal
ΔE_f, eV/f.u.: -23.01



Record 2
A relaxed Te2O5 crystal, computed with meta-GGA r2SCAN.

Unit cell a=4.717 b=5.397 c=7.975 alpha=104.18 beta=90.00 gamma=90.00
Sites, in units of the cell vectors:
Te 0.885 0.140 0.380
O 0.297 0.165 0.794
O 0.233 0.532 0.093
O 0.673 0.335 0.226
O 0.231 0.035 0.098
O 0.731 0.965 0.902
Te 0.385 0.860 0.620
O 0.797 0.835 0.206
O 0.173 0.665 0.774
O 0.733 0.468 0.907
O 0.539 0.125 0.492
Te 0.493 0.257 0.011
O 0.039 0.875 0.508
Te 0.993 0.743 0.989

Size of the total moment, μB/f.u.: 0.00
Crystal system: monoclinic
ΔE_f, eV/f.u.: -7.36



Record 3
A relaxed Pr32In3Rh19 crystal, computed with meta-GGA r2SCAN.

Unit cell a=11.880 b=11.880 c=10.031 alpha=90.00 beta=90.00 gamma=90.79
Sites, in units of the cell vectors:
Pr 0.498 0.498 0.191
Rh 0.891 0.891 0.500
Pr 0.082 0.294 0.302
Pr 0.137 0.861 0.500
Rh 0.321 0.321 0.217
Rh 0.998 0.506 0.157
Pr 0.704 0.914 0.693
Rh 0.828 0.176 0.774
Pr 0.914 0.704 0.693
Pr 0.704 0.914 0.307
Pr 0.294 0.082 0.302
In 0.998 0.497 0.500
Rh 0.828 0.176 0.226
Rh 0.176 0.828 0.774
Pr 0.994 0.994 0.803
In 0.497 0.997 0.500
Pr 0.914 0.704 0.307
Rh 0.358 0.652 0.000
Pr 0.203 0.585 0.693
Pr 0.416 0.791 0.306
Rh 0.506 0.998 0.843
Pr 0.443 0.216 0.000
Pr 0.585 0.203 0.307
Rh 0.672 0.672 0.772
Rh 0.652 0.358 0.000
Pr 0.294 0.082 0.698
Rh 0.389 0.604 0.500
Pr 0.577 0.784 0.000
Pr 0.791 0.416 0.306
Pr 0.498 0.498 0.809
Rh 0.111 0.111 0.500
Rh 0.176 0.828 0.226
Pr 0.912 0.303 0.000
Pr 0.634 0.634 0.500
Pr 0.203 0.585 0.307
Pr 0.861 0.137 0.500
Rh 0.672 0.672 0.228
Rh 0.604 0.389 0.500
Pr 0.994 0.994 0.197
Pr 0.416 0.791 0.694
Rh 0.855 0.855 0.000
Pr 0.069 0.721 0.000
Pr 0.303 0.912 0.000
Pr 0.784 0.577 0.000
Pr 0.791 0.416 0.694
Pr 0.585 0.203 0.693
Rh 0.321 0.321 0.783
Pr 0.216 0.443 0.000
Rh 0.506 0.998 0.157
Pr 0.358 0.358 0.500
In 0.166 0.166 0.000
Rh 0.998 0.506 0.843
Pr 0.082 0.294 0.698
Pr 0.721 0.069 0.000

Size of the total moment, μB/f.u.: 0.00
Crystal system: orthorhombic
ΔE_f, eV/f.u.: -33.46



Record 4
A relaxed P2Pb2O7 crystal, computed with meta-GGA r2SCAN.

Unit cell a=6.963 b=6.986 c=12.802 alpha=96.87 beta=89.32 gamma=90.30
Sites, in units of the cell vectors:
Pb 0.676 0.789 0.141
P 0.579 0.292 0.101
O 0.089 0.534 0.138
P 0.183 0.302 0.410
O 0.110 0.213 0.514
O 0.699 0.082 0.462
Pb 0.909 0.811 0.854
P 0.768 0.895 0.402
O 0.404 0.201 0.044
O 0.911 0.920 0.315
O 0.316 0.471 0.449
O 0.701 0.853 0.657
Pb 0.350 0.625 0.633
O 0.706 0.393 0.015
P 0.232 0.105 0.598
Pb 0.650 0.375 0.367
P 0.832 0.301 0.915
O 0.009 0.367 0.356
O 0.294 0.607 0.985
O 0.708 0.145 0.144
O 0.304 0.832 0.153
O 0.292 0.855 0.856
Pb 0.248 0.796 0.350
O 0.089 0.080 0.685
O 0.696 0.168 0.847
O 0.394 0.241 0.638
O 0.890 0.787 0.486
O 0.684 0.529 0.551
O 0.606 0.759 0.362
O 0.992 0.182 0.957
O 0.596 0.799 0.956
O 0.911 0.466 0.862
O 0.008 0.818 0.043
O 0.299 0.147 0.343
P 0.421 0.708 0.899
Pb 0.091 0.189 0.146
Pb 0.324 0.211 0.859
P 0.168 0.699 0.085
O 0.301 0.918 0.538
O 0.471 0.542 0.817
P 0.817 0.698 0.590
O 0.991 0.633 0.644
Pb 0.752 0.204 0.650
O 0.529 0.458 0.183

Size of the total moment, μB/f.u.: 0.00
Crystal system: triclinic
ΔE_f, eV/f.u.: -23.83



Record 5
A relaxed ScSiAu crystal, computed with meta-GGA r2SCAN.

Unit cell a=4.223 b=4.223 c=6.898 alpha=90.00 beta=90.00 gamma=120.00
Sites, in units of the cell vectors:
Si 0.333 0.667 0.294
Au 0.667 0.333 0.785
Au 0.667 0.333 0.215
Sc 0.000 0.000 0.500
Sc 0.000 0.000 0.000
Si 0.333 0.667 0.706

Size of the total moment, μB/f.u.: 0.00
Crystal system: hexagonal
ΔE_f, eV/f.u.: -2.42



Record 6
A relaxed Gd3CI3 crystal, computed with meta-GGA r2SCAN.

Unit cell a=3.949 b=8.771 c=11.938 alpha=92.43 beta=90.00 gamma=90.00
Sites, in units of the cell vectors:
I 0.750 0.144 0.124
I 0.750 0.623 0.127
Gd 0.750 0.082 0.398
Gd 0.250 0.917 0.599
Gd 0.250 0.887 0.184
I 0.750 0.615 0.633
I 0.250 0.856 0.875
C 0.250 0.883 0.385
Gd 0.750 0.706 0.384
Gd 0.250 0.294 0.616
I 0.250 0.385 0.367
I 0.250 0.378 0.873
C 0.750 0.118 0.616
Gd 0.750 0.113 0.817

Size of the total moment, μB/f.u.: 0.02
Crystal system: monoclinic
ΔE_f, eV/f.u.: -8.25



Record 7
A relaxed GaFe3 crystal, computed with meta-GGA r2SCAN.

Unit cell a=3.992 b=4.066 c=4.250 alpha=57.35 beta=58.98 gamma=63.67
Sites, in units of the cell vectors:
Fe 0.250 0.250 0.250
Ga 0.000 0.000 0.000
Fe 0.750 0.750 0.750
Fe 0.500 0.500 0.500

Size of the total moment, μB/f.u.: 7.45
Crystal system: orthorhombic
ΔE_f, eV/f.u.: -0.32



Record 8
A relaxed NdSb2Au crystal, computed with meta-GGA r2SCAN.

Unit cell a=4.420 b=4.420 c=10.434 alpha=90.00 beta=90.00 gamma=90.00
Sites, in units of the cell vectors:
Nd 0.500 0.000 0.243
Au 0.000 0.000 0.500
Sb 0.000 0.500 0.328
Au 0.500 0.500 0.500
Sb 0.500 0.000 0.672
Nd 0.000 0.500 0.757
Sb 0.500 0.500 0.000
Sb 0.000 0.000 0.000

Size of the total moment, μB/f.u.: 0.00
Crystal system: tetragonal
ΔE_f, eV/f.u.: -3.18



Record 9
A relaxed LiMg2Pt crystal, computed with meta-GGA r2SCAN.

Unit cell a=4.511 b=4.511 c=4.511 alpha=59.87 beta=59.90 gamma=59.90
Sites, in units of the cell vectors:
Mg 0.000 0.000 0.000
Li 0.250 0.250 0.250
Pt 0.750 0.750 0.750
Mg 0.500 0.500 0.500

Size of the total moment, μB/f.u.: 0.00
Crystal system: trigonal
ΔE_f, eV/f.u.: -2.63



Record 10
A relaxed Ta5Ge3B crystal, computed with meta-GGA r2SCAN.

Unit cell a=7.686 b=7.686 c=5.340 alpha=90.00 beta=90.00 gamma=120.00
Sites, in units of the cell vectors:
Ge 0.401 0.401 0.250
Ta 0.756 0.756 0.250
Ta 0.667 0.333 0.500
Ta 0.244 0.000 0.250
Ge 0.000 0.401 0.750
B 0.000 0.000 0.000
Ta 0.756 0.000 0.750
Ge 0.599 0.599 0.750
Ta 0.244 0.244 0.750
Ge 0.401 0.000 0.750
Ta 0.667 0.333 0.000
Ta 0.333 0.667 0.000
Ta 0.333 0.667 0.500
Ta 0.000 0.244 0.250
Ge 0.000 0.599 0.250
B 0.000 0.000 0.500
Ge 0.599 0.000 0.250
Ta 0.000 0.756 0.750

Size of the total moment, μB/f.u.: 0.00
Crystal system: hexagonal
ΔE_f, eV/f.u.: -4.34



Record 11
A relaxed DyTe3 crystal, computed with meta-GGA r2SCAN.

Unit cell a=4.333 b=4.336 c=13.361 alpha=90.00 beta=99.33 gamma=90.00
Sites, in units of the cell vectors:
Te 0.923 0.750 0.847
Te 0.293 0.750 0.586
Te 0.577 0.750 0.153
Te 0.707 0.250 0.414
Dy 0.172 0.750 0.344
Te 0.077 0.250 0.153
Dy 0.828 0.250 0.656
Te 0.423 0.250 0.847

Size of the total moment, μB/f.u.: 0.00
Crystal system: orthorhombic
ΔE_f, eV/f.u.: -4.20



Record 12
A relaxed Al45V7 crystal, computed with meta-GGA r2SCAN.

Unit cell a=7.542 b=11.008 c=11.015 alpha=105.99 beta=110.00 gamma=89.99
Sites, in units of the cell vectors:
Al 0.003 0.620 0.380
Al 0.365 0.351 0.360
Al 0.471 0.856 0.329
Al 0.500 0.500 0.000
Al 0.995 0.351 0.360
V 0.000 0.000 0.000
Al 0.082 0.442 0.165
Al 0.149 0.377 0.910
Al 0.519 0.132 0.411
Al 0.222 0.205 0.072
Al 0.108 0.868 0.589
V 0.245 0.581 0.829
Al 0.142 0.145 0.671
Al 0.521 0.757 0.043
V 0.749 0.760 0.498
Al 0.918 0.558 0.835
Al 0.776 0.007 0.551
Al 0.005 0.649 0.640
Al 0.615 0.227 0.230
Al 0.635 0.649 0.640
V 0.251 0.240 0.502
Al 0.385 0.773 0.770
Al 0.293 0.510 0.585
Al 0.625 0.638 0.250
Al 0.150 0.795 0.928
Al 0.615 0.010 0.863
Al 0.778 0.795 0.928
Al 0.375 0.362 0.750
Al 0.239 0.623 0.090
Al 0.385 0.990 0.137
Al 0.761 0.377 0.910
Al 0.248 0.010 0.863
Al 0.858 0.855 0.329
V 0.584 0.581 0.829
Al 0.624 0.380 0.620
Al 0.376 0.620 0.380
Al 0.224 0.993 0.449
Al 0.851 0.623 0.090
Al 0.529 0.144 0.671
Al 0.129 0.113 0.258
Al 0.871 0.887 0.742
Al 0.850 0.205 0.072
Al 0.089 0.847 0.179
Al 0.997 0.380 0.620
Al 0.752 0.990 0.137
Al 0.911 0.153 0.821
Al 0.892 0.132 0.411
Al 0.479 0.243 0.957
V 0.416 0.419 0.171
Al 0.481 0.868 0.589
Al 0.707 0.490 0.415
V 0.755 0.419 0.171

Size of the total moment, μB/f.u.: 0.00
Crystal system: monoclinic
ΔE_f, eV/f.u.: -8.80